Entry A
The following is a DFT calculation (PBE with a Hubbard U) of an optimized crystal structure of V2OF5.

Output
theoretical density	3.3	Mg/m³

Cell and atoms, written as POSCAR:
```
V2OF5
1.0
-1.9037 0.7189 4.8698
-1.1167 -5.3418 0.3530
11.5469 -0.1060 1.6890
V O F
6 3 15
direct
0.1679 0.1686 0.3374
0.3531 0.3425 0.6853
0.4964 0.5065 0.0126
0.6654 0.6664 0.3324
0.9974 0.9978 0.9957
0.8360 0.8257 0.6512
0.4948 0.4148 0.8314
0.8340 0.7547 0.5051
0.4980 0.5791 0.1595
0.8209 0.9122 0.8247
0.6160 0.1192 0.6353
0.5171 0.6172 0.6358
0.1634 0.2550 0.5088
0.8151 0.7096 0.0274
0.1493 0.0485 0.6991
0.9552 0.4501 0.3027
0.2831 0.7819 0.9633
0.7138 0.2139 0.0287
0.1808 0.2865 0.9645
0.8461 0.9506 0.3014
0.0485 0.5489 0.6987
0.4875 0.3855 0.3675
0.3767 0.8816 0.3656
0.1835 0.0832 0.1659
```

***

Entry B
The following is a DFT calculation (PBE with a Hubbard U) of an optimized crystal structure of V2OF5.

Output
theoretical density	3.4	Mg/m³

Cell and atoms, written as POSCAR:
```
V2OF5
1.0
3.4588 3.4586 0.0000
-3.4588 3.4586 0.0000
0.0000 0.0395 17.6288
V O F
8 4 20
direct
0.0091 0.0090 0.1553
0.9867 0.0146 0.3361
0.0090 0.0091 0.6553
0.4869 0.4858 0.0861
0.5098 0.4918 0.4054
0.4858 0.4869 0.5861
0.4918 0.5098 0.9054
0.0146 0.9867 0.8361
0.2034 0.2035 0.0967
0.2035 0.2034 0.5967
0.7050 0.2982 0.3467
0.2982 0.7050 0.8467
0.1772 0.1784 0.2484
0.2137 0.2176 0.4101
0.1784 0.1772 0.7484
0.2176 0.2137 0.9101
0.7121 0.2834 0.1601
0.6781 0.3231 0.4984
0.7206 0.2824 0.8427
0.7125 0.2840 0.6602
0.6712 0.3270 0.9966
0.3231 0.6781 0.9984
0.3270 0.6712 0.4966
0.2840 0.7125 0.1602
0.2824 0.7206 0.3427
0.2834 0.7121 0.6601
0.7815 0.7811 0.0927
0.7848 0.7890 0.4103
0.7811 0.7815 0.5927
0.8277 0.8292 0.2467
0.8292 0.8277 0.7467
0.7890 0.7848 0.9103
```

***

Entry C
The following is a DFT calculation (PBE with a Hubbard U) of an optimized crystal structure of V2OF5.

Output
theoretical density	3.3	Mg/m³

Cell and atoms, written as POSCAR:
```
V2OF5
1.0
2.6187 -4.5357 0.0000
2.6187 4.5357 0.0000
0.0000 0.0000 13.5263
V O F
6 3 15
direct
0.3354 0.3092 0.2459
0.3092 0.3354 0.7541
0.9738 0.6646 0.5793
0.6646 0.9738 0.4207
0.0262 0.6908 0.0874
0.6908 0.0262 0.9126
0.7550 0.7550 0.5000
0.2450 0.0000 0.1667
0.0000 0.2450 0.8333
0.3330 0.9278 0.5001
0.6670 0.5948 0.1666
0.4052 0.0722 0.8332
0.6497 0.4004 0.6698
0.5996 0.2493 0.3364
0.9344 0.9344 0.0000
0.3503 0.7507 0.9969
0.0656 0.0000 0.6667
0.4004 0.6497 0.3302
0.7507 0.3503 0.0031
0.9278 0.3330 0.4999
0.5948 0.6670 0.8334
0.0722 0.4052 0.1668
0.2493 0.5996 0.6636
0.0000 0.0656 0.3333
```

***

Entry D
The following is a DFT calculation (PBE with a Hubbard U) of an optimized crystal structure of V2OF5.

Output
theoretical density	3.2	Mg/m³

Cell and atoms, written as POSCAR:
```
V2OF5
1.0
2.6529 1.4515 -4.3561
-0.0026 12.8037 4.2665
5.3022 -0.0005 -0.0021
V O F
6 3 15
direct
0.3086 0.8261 0.3501
0.6793 0.6673 0.6554
0.6832 0.1597 0.6758
0.0088 0.4930 0.9749
0.9887 0.0001 0.0008
0.3318 0.3341 0.3466
0.0262 0.7500 0.5496
0.0910 0.4169 0.6925
0.8855 0.0842 0.7547
0.9969 0.2501 0.4145
0.2549 0.9159 0.6643
0.7472 0.5829 0.9216
0.6001 0.7505 0.3949
0.4284 0.7561 0.9795
0.2586 0.4229 0.0954
0.7291 0.0843 0.3389
0.6717 0.4171 0.2661
0.3145 0.0894 0.9232
0.0867 0.9202 0.2546
0.9156 0.5791 0.3262
0.5856 0.2538 0.9919
0.4247 0.2460 0.5826
0.6577 0.9127 0.0912
0.3251 0.5873 0.7549
```

***

The most stable arrangement is entry D, and the next structure is 7 meV per atom less stable.